Entry from the Materials Project database: Na14Sc3Nb5Si12O48 after structural relaxation (GGA-PBE).

Output
**Energy**: -1810.700 eV for the cell shown
**DFT formation energy**: -245.9 eV per formula unit

Lattice parameters (Å, degrees): 18.3297 9.1618 22.6055 90.05 89.88 120.03
Fractional coordinates of all 246 atoms:
O 0.5944 0.0313 0.5891
O 0.8451 0.1639 0.7478
O 0.8183 0.1243 0.1424
O 0.3170 0.1225 0.1426
Na 0.1673 0.6671 0.1615
O 0.5755 0.4503 0.9763
Si 0.1665 0.9600 0.9184
Na 0.5194 0.6941 0.5808
O 0.7447 0.1245 0.6426
Nb 0.9998 0.9993 0.6467
O 0.0823 0.1992 0.6922
O 0.0840 0.9823 0.9069
Sc 0.3335 0.3338 0.1838
O 0.4106 0.7904 0.3088
O 0.9845 0.8117 0.0890
O 0.7523 0.8531 0.0784
O 0.5787 0.6993 0.4754
O 0.4380 0.3652 0.6428
Sc 0.1661 0.6661 0.0164
Na 0.6666 0.6667 0.6623
O 0.2519 0.6403 0.8584
Na 0.6881 0.0088 0.7476
Na 0.4939 0.6275 0.2477
Na 0.4951 0.3665 0.7477
O 0.0050 0.1826 0.9070
Si 0.0200 0.3745 0.9183
O 0.8456 0.5262 0.2485
O 0.4060 0.9838 0.4118
Si 0.5009 0.7108 0.7508
O 0.9844 0.1565 0.5889
O 0.4137 0.5279 0.0278
O 0.4268 0.4903 0.4218
O 0.1749 0.4959 0.0780
O 0.9009 0.9658 0.6930
O 0.3404 0.5197 0.2451
O 0.2522 0.6510 0.5786
Nb 0.1666 0.6658 0.8163
Nb 0.1676 0.6687 0.3155
Nb 0.3298 0.3276 0.4795
O 0.4845 0.1574 0.5892
O 0.8218 0.4956 0.9218
Si 0.3532 0.7068 0.2516
Na 0.8163 0.0093 0.2467
O 0.2546 0.3667 0.4221
Nb 0.5020 0.0001 0.8553
Sc 0.8329 0.3325 0.1842
O 0.9057 0.9749 0.4069
O 0.4154 0.2984 0.5262
O 0.9010 0.8360 0.1931
Nb 0.8370 0.3345 0.4796
O 0.9881 0.1628 0.3054
Na 0.3531 0.6778 0.4156
O 0.7508 0.8670 0.3588
O 0.1500 0.4762 0.7561
Si 0.6667 0.3725 0.4183
O 0.6752 0.4963 0.0780
Nb 0.6664 0.6655 0.8163
O 0.8175 0.1440 0.4218
Na 0.1670 0.6670 0.6619
O 0.5172 0.1999 0.1928
O 0.2352 0.1717 0.5285
O 0.2759 0.7094 0.9747
O 0.4846 0.1786 0.3088
O 0.0686 0.4961 0.8589
O 0.0733 0.6508 0.0785
Nb 0.8333 0.3383 0.9791
O 0.4213 0.8118 0.5893
O 0.0045 0.8267 0.4071
Na 0.6526 0.3446 0.5808
O 0.0936 0.0221 0.3051
Si 0.8136 0.9601 0.4171
Si 0.5200 0.3742 0.9183
Si 0.1660 0.3743 0.4183
O 0.2366 0.1634 0.2485
O 0.4179 0.5269 0.7481
O 0.6046 0.0315 0.3089
Sc 0.6659 0.6657 0.0164
Na 0.8165 0.6242 0.7477
Na 0.8275 0.9605 0.5813
Na 0.8271 0.6938 0.0812
Na 0.3167 0.6245 0.7475
Si 0.1448 0.2914 0.7506
O 0.0821 0.9650 0.1922
Na 0.8331 0.3391 0.8336
O 0.3451 0.1639 0.7479
Na 0.0039 0.0075 0.4973
Si 0.4798 0.6257 0.0846
Nb 0.4997 0.0000 0.1473
Si 0.6446 0.2911 0.7505
O 0.2547 0.1434 0.9213
Sc 0.6676 0.6679 0.5173
O 0.4879 0.8130 0.8053
Na 0.4848 0.2929 0.4154
O 0.7401 0.1629 0.2451
Si 0.8329 0.0417 0.0837
O 0.7764 0.8454 0.4752
O 0.3219 0.1496 0.4225
O 0.5079 0.8294 0.4122
O 0.7366 0.3093 0.7480
O 0.1817 0.4987 0.3593
O 0.2434 0.3646 0.1431
O 0.3218 0.4954 0.9218
Si 0.9801 0.3340 0.5855
O 0.0742 0.6994 0.4767
Nb 0.9997 0.0002 0.1459
Na 0.6664 0.6667 0.1613
O 0.9156 0.8075 0.3078
O 0.3176 0.5106 0.6427
O 0.4240 0.3480 0.9215
O 0.4156 0.0241 0.8075
Na 0.3195 0.0113 0.2479
Nb 0.3334 0.3381 0.9793
O 0.5935 0.1639 0.8051
O 0.4010 0.9657 0.6930
Si 0.6875 0.3338 0.0847
O 0.0679 0.6398 0.3586
O 0.5824 0.1995 0.6921
O 0.8176 0.5108 0.6429
O 0.2358 0.2985 0.0277
O 0.0878 0.4753 0.2569
Si 0.6881 0.0426 0.5842
O 0.9137 0.5281 0.0281
Si 0.8127 0.6645 0.9176
O 0.5879 0.6998 0.7566
O 0.7363 0.2992 0.0279
O 0.4001 0.8346 0.1929
O 0.7549 0.3631 0.4218
Na 0.6860 0.3608 0.2482
Sc 0.1649 0.6648 0.5164
O 0.6518 0.8239 0.2555
O 0.8512 0.1675 0.0254
O 0.9214 0.0302 0.0892
Na 0.1888 0.3682 0.2464
O 0.6751 0.8549 0.5783
Sc 0.8330 0.3328 0.6851
Si 0.6463 0.0002 0.2515
O 0.9389 0.5122 0.1436
O 0.5888 0.4801 0.2555
O 0.8508 0.5335 0.5262
O 0.4187 0.3178 0.2452
O 0.7520 0.6404 0.8584
O 0.1505 0.8498 0.9767
O 0.0844 0.1853 0.4072
Na 0.9952 0.3668 0.7479
O 0.6508 0.8498 0.9767
O 0.5941 0.1570 0.0887
O 0.0880 0.7000 0.7565
Na 0.5036 0.9998 0.9988
O 0.7625 0.7000 0.2568
O 0.9216 0.8123 0.5891
Na 0.8483 0.0301 0.9192
Si 0.3330 0.0415 0.0840
O 0.6502 0.4763 0.7561
O 0.5680 0.6346 0.3600
O 0.2441 0.1230 0.6436
Na 0.0194 0.3452 0.0804
O 0.7442 0.3663 0.1432
O 0.0173 0.1989 0.1925
O 0.5852 0.1868 0.4121
Si 0.0007 0.2908 0.2509
Na 0.1538 0.9613 0.0807
O 0.7526 0.6514 0.5789
O 0.7616 0.8239 0.7561
O 0.4215 0.0305 0.0890
O 0.0940 0.1570 0.0890
O 0.3506 0.5332 0.5259
Si 0.3546 0.9983 0.7515
O 0.5828 0.9661 0.1928
Si 0.3128 0.6644 0.9176
O 0.2365 0.3093 0.7480
O 0.0732 0.4955 0.5791
Na 0.1885 0.0091 0.7476
Sc 0.3335 0.3335 0.6850
Si 0.1877 0.3342 0.0845
Na 0.3331 0.3391 0.8336
O 0.9879 0.8130 0.8052
O 0.5175 0.8356 0.6923
Na 0.4996 0.9999 0.4945
Si 0.0215 0.6677 0.4179
O 0.5051 0.1826 0.9069
Na 0.6611 0.0300 0.4152
O 0.5735 0.6510 0.0783
O 0.2596 0.6970 0.2553
O 0.5841 0.9823 0.9070
Si 0.4790 0.3340 0.5842
O 0.1504 0.4498 0.4772
Na 0.1531 0.3463 0.5806
O 0.9143 0.2998 0.5282
O 0.0939 0.0311 0.5891
Nb 0.0029 0.0045 0.3544
Si 0.6664 0.9599 0.9184
Si 0.3327 0.6241 0.5843
O 0.0754 0.4502 0.9763
O 0.0934 0.1638 0.8050
Na 0.3273 0.9595 0.5806
O 0.9156 0.0241 0.8075
O 0.4847 0.8126 0.0885
Na 0.8354 0.3314 0.3304
Na 0.8485 0.6676 0.4175
O 0.6813 0.8639 0.8593
O 0.3507 0.1674 0.0256
Na 0.6526 0.9606 0.0810
Si 0.5194 0.6664 0.4188
O 0.7342 0.1694 0.5258
Na 0.3310 0.3290 0.3303
Na 0.0200 0.6946 0.5805
O 0.0173 0.8355 0.6923
Na 0.3279 0.6956 0.0815
Nb 0.0021 0.0002 0.8553
O 0.4388 0.5126 0.1429
O 0.2507 0.8626 0.3594
Si 0.4999 0.2932 0.2515
Si 0.0008 0.7104 0.7510
O 0.9180 0.3089 0.2485
Na 0.0037 0.9998 0.9979
O 0.9381 0.3650 0.6434
O 0.5732 0.4956 0.5785
Na 0.5192 0.3441 0.0809
O 0.1812 0.8637 0.8594
Si 0.1870 0.0395 0.5856
O 0.9178 0.5269 0.7480
O 0.7546 0.1434 0.9214
Sc 0.4994 0.9998 0.3510
Nb 0.4998 0.9997 0.6460
O 0.1744 0.8529 0.5789
Nb 0.6657 0.6655 0.3145
Si 0.1450 0.9982 0.2500
O 0.1496 0.8232 0.2563
O 0.6835 0.5016 0.3597
Na 0.9953 0.6228 0.2471
O 0.4049 0.8355 0.9060
O 0.6516 0.4587 0.4755
O 0.7760 0.7097 0.9748
O 0.2522 0.8528 0.0782
Na 0.3484 0.0301 0.9192
Si 0.8331 0.6247 0.5847
O 0.9049 0.8356 0.9061
O 0.9249 0.4994 0.4222
O 0.9240 0.3481 0.9215
Si 0.9796 0.6246 0.0849
Si 0.3127 0.9601 0.4188
O 0.2709 0.8424 0.4756
O 0.2616 0.8239 0.7562
O 0.5687 0.4962 0.8590
Si 0.8545 0.9982 0.7516
Si 0.8549 0.7107 0.2515